one.
{
  "formula": "ScUS2",
  "functional": "PBE",
  "state": "optimized geometry",
  "lattice": [[3.781, 0.000, 0.000], [0.000, 3.781, 0.000], [0.000, 0.000, 5.314]],
  "species": ["Sc", "U", "S", "S"],
  "frac_coords": [[0.000, 0.000, 0.000], [0.500, 0.500, 0.500], [0.000, 0.000, 0.500], [0.500, 0.500, 0.000]]
}

---

two.
{
  "formula": "ScUS2",
  "functional": "PBE",
  "state": "optimized geometry",
  "lattice": [[-2.673, 2.673, 5.330], [2.673, -2.673, 5.330], [2.673, 2.673, -5.330]],
  "species": ["Sc", "Sc", "U", "U", "S", "S", "S", "S"],
  "frac_coords": [[0.375, 0.625, 0.750], [0.625, 0.375, 0.250], [0.125, 0.875, 0.250], [0.875, 0.125, 0.750], [0.130, 0.380, 0.750], [0.380, 0.130, 0.250], [0.620, 0.870, 0.750], [0.870, 0.620, 0.250]]
}

---

According to the calculations, the structures order from most to least stable as one, two.

---

one.
{
  "formula": "USiS",
  "functional": "PBE",
  "state": "optimized geometry",
  "magnetic_moment_mub_per_atom": 0.615,
  "lattice": [[3.763, 0.000, 0.000], [0.000, 3.763, 0.000], [0.000, 0.000, 8.005]],
  "species": ["U", "U", "Si", "Si", "S", "S"],
  "frac_coords": [[0.250, 0.250, 0.206], [0.750, 0.750, 0.794], [0.250, 0.750, 0.500], [0.750, 0.250, 0.500], [0.250, 0.250, 0.855], [0.750, 0.750, 0.145]]
}

---

two.
{
  "formula": "USiS",
  "functional": "PBE",
  "state": "optimized geometry",
  "magnetic_moment_mub_per_atom": 0.000,
  "lattice": [[4.063, 0.000, 0.000], [0.000, 4.063, 0.000], [0.000, 0.000, 7.161]],
  "species": ["U", "U", "Si", "Si", "S", "S"],
  "frac_coords": [[0.250, 0.250, 0.249], [0.750, 0.750, 0.751], [0.250, 0.250, 0.635], [0.750, 0.750, 0.365], [0.250, 0.750, 0.000], [0.750, 0.250, 0.000]]
}

---

According to the calculations, the structures order from most to least stable as one, two.

---

one.
{
  "formula": "Sm3S4",
  "functional": "PBE",
  "state": "optimized geometry",
  "magnetic_moment_mub_per_atom": 0.120,
  "lattice": [[-4.939, 4.939, 4.939], [4.939, -4.939, 4.939], [4.939, 4.939, -4.939]],
  "species": ["Sm", "Sm", "Sm", "Sm", "Sm", "Sm", "S", "S", "S", "S", "S", "S", "S", "S"],
  "frac_coords": [[0.125, 0.875, 0.250], [0.250, 0.125, 0.875], [0.375, 0.625, 0.750], [0.625, 0.750, 0.375], [0.750, 0.375, 0.625], [0.875, 0.250, 0.125], [0.000, 0.438, 0.500], [0.000, 0.938, 0.500], [0.062, 0.062, 0.062], [0.438, 0.500, 0.000], [0.500, 0.000, 0.438], [0.500, 0.000, 0.938], [0.562, 0.562, 0.562], [0.938, 0.500, 0.000]]
}

---

two.
{
  "formula": "Sm3S4",
  "functional": "PBE",
  "state": "optimized geometry",
  "lattice": [[-4.239, 4.239, 4.239], [4.239, -4.239, 4.239], [4.239, 4.239, -4.239]],
  "species": ["Sm", "Sm", "Sm", "Sm", "Sm", "Sm", "S", "S", "S", "S", "S", "S", "S", "S"],
  "frac_coords": [[0.125, 0.750, 0.875], [0.250, 0.625, 0.375], [0.375, 0.250, 0.625], [0.625, 0.375, 0.250], [0.750, 0.875, 0.125], [0.875, 0.125, 0.750], [0.000, 0.353, 0.500], [0.000, 0.853, 0.500], [0.147, 0.147, 0.147], [0.353, 0.500, 0.000], [0.500, 0.000, 0.353], [0.500, 0.000, 0.853], [0.647, 0.647, 0.647], [0.853, 0.500, 0.000]]
}

---

According to the calculations, the structures order from most to least stable as two, one.

---

one.
{
  "formula": "Tl4Sn5S12",
  "functional": "PBE",
  "state": "optimized geometry",
  "magnetic_moment_mub_per_atom": 0.000,
  "lattice": [[7.504, 0.000, 0.000], [-3.687, 9.161, 0.000], [-0.037, -4.860, 16.674]],
  "species": ["Tl", "Tl", "Tl", "Tl", "Tl", "Tl", "Tl", "Tl", "Sn", "Sn", "Sn", "Sn", "Sn", "Sn", "Sn", "Sn", "Sn", "Sn", "S", "S", "S", "S", "S", "S", "S", "S", "S", "S", "S", "S", "S", "S", "S", "S", "S", "S", "S", "S", "S", "S", "S", "S"],
  "frac_coords": [[0.083, 0.460, 0.387], [0.125, 0.661, 0.857], [0.187, 0.940, 0.298], [0.399, 0.392, 0.145], [0.601, 0.608, 0.855], [0.813, 0.060, 0.702], [0.875, 0.339, 0.143], [0.917, 0.540, 0.613], [0.183, 0.992, 0.582], [0.188, 0.180, 0.948], [0.315, 0.823, 0.058], [0.384, 0.302, 0.730], [0.482, 0.274, 0.403], [0.518, 0.726, 0.597], [0.616, 0.698, 0.270], [0.685, 0.177, 0.942], [0.812, 0.820, 0.052], [0.817, 0.008, 0.418], [0.028, 0.846, 0.478], [0.030, 0.338, 0.983], [0.163, 0.994, 0.092], [0.170, 0.230, 0.327], [0.193, 0.361, 0.803], [0.231, 0.041, 0.722], [0.290, 0.646, 0.202], [0.310, 0.769, 0.671], [0.330, 0.006, 0.912], [0.382, 0.459, 0.593], [0.462, 0.672, 0.008], [0.488, 0.838, 0.454], [0.512, 0.162, 0.546], [0.538, 0.328, 0.992], [0.618, 0.541, 0.407], [0.670, 0.994, 0.088], [0.690, 0.231, 0.329], [0.710, 0.354, 0.798], [0.769, 0.959, 0.278], [0.807, 0.639, 0.197], [0.830, 0.770, 0.673], [0.837, 0.006, 0.908], [0.970, 0.662, 0.017], [0.972, 0.154, 0.522]]
}

---

two.
{
  "formula": "Tl4Sn5S12",
  "functional": "PBE",
  "state": "optimized geometry",
  "magnetic_moment_mub_per_atom": 0.000,
  "lattice": [[7.504, 0.000, 0.000], [-3.687, 9.161, 0.000], [-0.037, -4.860, 16.674]],
  "species": ["Tl", "Tl", "Tl", "Tl", "Tl", "Tl", "Tl", "Tl", "Sn", "Sn", "Sn", "Sn", "Sn", "Sn", "Sn", "Sn", "Sn", "Sn", "S", "S", "S", "S", "S", "S", "S", "S", "S", "S", "S", "S", "S", "S", "S", "S", "S", "S", "S", "S", "S", "S", "S", "S"],
  "frac_coords": [[0.083, 0.347, 0.387], [0.125, 0.017, 0.857], [0.187, 0.738, 0.298], [0.399, 0.037, 0.145], [0.601, 0.963, 0.855], [0.813, 0.262, 0.702], [0.875, 0.983, 0.143], [0.917, 0.653, 0.613], [0.183, 0.074, 0.582], [0.188, 0.627, 0.948], [0.315, 0.381, 0.058], [0.384, 0.532, 0.730], [0.482, 0.176, 0.403], [0.518, 0.824, 0.597], [0.616, 0.468, 0.270], [0.685, 0.619, 0.942], [0.812, 0.373, 0.052], [0.817, 0.926, 0.418], [0.028, 0.824, 0.478], [0.030, 0.821, 0.983], [0.163, 0.586, 0.092], [0.170, 0.057, 0.327], [0.193, 0.664, 0.803], [0.231, 0.263, 0.722], [0.290, 0.348, 0.202], [0.310, 0.940, 0.671], [0.330, 0.418, 0.912], [0.382, 0.551, 0.593], [0.462, 0.180, 0.008], [0.488, 0.792, 0.454], [0.512, 0.208, 0.546], [0.538, 0.820, 0.992], [0.618, 0.449, 0.407], [0.670, 0.582, 0.088], [0.690, 0.060, 0.329], [0.710, 0.652, 0.798], [0.769, 0.737, 0.278], [0.807, 0.336, 0.197], [0.830, 0.943, 0.673], [0.837, 0.414, 0.908], [0.970, 0.179, 0.017], [0.972, 0.176, 0.522]]
}

---

According to the calculations, the structures order from most to least stable as two, one.